Na2Hf2Ti2Si3S3O24 | PBE-GGA | relaxed

Lattice parameters (Å, degrees): 8.8331 8.8525 22.9047 88.70 89.29 60.16
Fractional coordinates of all 108 atoms:
1 Na 0.0000 0.0000 0.0000
2 Na 0.0122 0.9782 0.5140
3 Na 0.3248 0.3420 0.3334
4 Na 0.3498 0.3182 0.8385
5 Na 0.6668 0.6790 0.6790
6 Na 0.6988 0.6431 0.1595
7 Hf 0.0076 0.0156 0.1455
8 Hf 0.0247 0.9984 0.3575
9 Hf 0.3495 0.3456 0.4890
10 Hf 0.3532 0.3372 0.9790
11 Hf 0.6888 0.6801 0.5328
12 Hf 0.7090 0.6533 0.3150
13 Ti 0.0168 0.0176 0.8619
14 Ti 0.0355 0.9791 0.6524
15 Ti 0.3354 0.3453 0.1835
16 Ti 0.3757 0.3140 0.6937
17 Ti 0.6822 0.6880 0.8201
18 Ti 0.7180 0.6451 0.0235
19 Si 0.0348 0.2883 0.2527
20 Si 0.0622 0.6259 0.0842
21 Si 0.3057 0.9987 0.7552
22 Si 0.3531 0.6177 0.5924
23 Si 0.6278 0.3500 0.0857
24 Si 0.6517 0.0503 0.5905
25 Si 0.6938 0.9492 0.9210
26 Si 0.9694 0.3852 0.9174
27 Si 0.9856 0.6623 0.4219
28 S 0.0216 0.7083 0.7555
29 S 0.0668 0.3258 0.5914
30 S 0.3110 0.7054 0.2541
31 S 0.3600 0.0437 0.0884
32 S 0.3986 0.6762 0.9194
33 S 0.3994 0.9541 0.4208
34 S 0.6870 0.3757 0.4218
35 S 0.7237 0.0073 0.2547
36 S 0.7352 0.2855 0.7539
37 O 0.0054 0.8365 0.4159
38 O 0.0085 0.1896 0.1987
39 O 0.0406 0.7941 0.8064
40 O 0.0464 0.1716 0.5958
41 O 0.0460 0.8135 0.0959
42 O 0.0509 0.1775 0.3131
43 O 0.1483 0.3529 0.6419
44 O 0.1507 0.5010 0.1444
45 O 0.1610 0.3647 0.9208
46 O 0.1693 0.3045 0.5361
47 O 0.1758 0.5328 0.7498
48 O 0.1771 0.4864 0.4238
49 O 0.1776 0.5319 0.0282
50 O 0.1798 0.0233 0.8120
51 O 0.1839 0.8148 0.6001
52 O 0.2021 0.0232 0.0950
53 O 0.2017 0.7898 0.3076
54 O 0.2050 0.9754 0.6983
55 O 0.2091 0.3072 0.2467
56 O 0.2198 0.8305 0.9138
57 O 0.2212 0.9734 0.4170
58 O 0.2280 0.8119 0.2021
59 O 0.3127 0.5439 0.5327
60 O 0.3228 0.1758 0.7458
61 O 0.3296 0.1495 0.0349
62 O 0.3321 0.5296 0.2514
63 O 0.3678 0.4952 0.6483
64 O 0.3741 0.1333 0.1413
65 O 0.3823 0.1279 0.4250
66 O 0.3818 0.5160 0.9218
67 O 0.4773 0.6953 0.9725
68 O 0.4797 0.8475 0.4742
69 O 0.4842 0.6927 0.2623
70 O 0.4997 0.8254 0.7618
71 O 0.5001 0.8679 0.3679
72 O 0.5009 0.6579 0.8657
73 O 0.5128 0.3590 0.1455
74 O 0.5161 0.8736 0.0859
75 O 0.5244 0.1414 0.6476
76 O 0.5247 0.1423 0.9252
77 O 0.5286 0.6319 0.5840
78 O 0.5318 0.3528 0.4246
79 O 0.5467 0.3104 0.0294
80 O 0.5545 0.1666 0.2508
81 O 0.5561 0.3004 0.7506
82 O 0.5596 0.1606 0.5308
83 O 0.6367 0.5292 0.0795
84 O 0.6615 0.8618 0.8618
85 O 0.6639 0.4819 0.3675
86 O 0.6711 0.8555 0.5867
87 O 0.6960 0.8541 0.2614
88 O 0.7058 0.4576 0.4735
89 O 0.7125 0.4612 0.7574
90 O 0.7156 0.8245 0.9779
91 O 0.8127 0.1802 0.8082
92 O 0.8173 0.0161 0.3075
93 O 0.8266 0.1818 0.0942
94 O 0.8341 0.9740 0.2026
95 O 0.8390 0.1991 0.7020
96 O 0.8397 0.0345 0.6003
97 O 0.8453 0.2005 0.4149
98 O 0.8574 0.4845 0.2570
99 O 0.8585 0.4624 0.9787
100 O 0.8593 0.6939 0.7585
101 O 0.8610 0.5050 0.8610
102 O 0.8659 0.6805 0.4786
103 O 0.8697 0.6417 0.0803
104 O 0.8729 0.9583 0.9096
105 O 0.8861 0.6475 0.3637
106 O 0.8897 0.4825 0.5836
107 O 0.9867 0.1904 0.9106
108 O 0.9956 0.8152 0.7004

Summary:
size of the total moment = 0.0 μB/f.u.
formation energy = -277.31 kJ per mole of atoms